No. 1
VASP calculation (PBE with a Hubbard U) on NaFeW2O8 after structural relaxation.

The space group is P2/c (No. 13) and the conventional cell measures 10.026, 5.830 and 5.078 Å, with angles of 90.00, 90.92 and 90.00 degrees. Symmetry generates all atoms from Na at (0.000, 0.188, 0.250), Fe at (0.500, 0.161, 0.250), W at (0.264, 0.324, 0.740), O at (0.146, 0.123, 0.621), O at (0.171, 0.409, 0.051), O at (0.375, 0.375, 0.423) and O at (0.392, 0.125, 0.908).

The value obtained for the calculated formation energy is -2.108 eV/atom.

=====

No. 2
VASP calculation (PBE with a Hubbard U) on Nb2FeO6 after structural relaxation.

The space group is P2/c (No. 13) and the conventional cell measures 14.955, 5.831 and 5.333 Å, with angles of 90.00, 90.42 and 90.00 degrees. Symmetry generates all atoms from Nb at (0.165, 0.169, 0.010), Nb at (0.335, 0.328, 0.516), Fe at (0.000, 0.357, 0.750), Fe at (0.500, 0.150, 0.250), O at (0.082, 0.386, 0.091), O at (0.102, 0.098, 0.694), O at (0.241, 0.140, 0.337), O at (0.259, 0.358, 0.839), O at (0.398, 0.408, 0.204) and O at (0.418, 0.109, 0.591).

The value obtained for the calculated formation energy is -2.699 eV/atom. As for the energy above the most stable polymorph in this dataset: 0.0417 eV/atom.

=====

No. 3
VASP calculation (PBE with a Hubbard U) on Nb2FeO6 after structural relaxation.

The space group is Pbcn (No. 60) and the conventional cell measures 14.490, 5.879 and 5.113 Å, with angles of 90.00, 90.00 and 90.00 degrees. Symmetry generates all atoms from Nb at (0.161, 0.182, 0.246), Fe at (0.000, 0.334, 0.750), O at (0.080, 0.383, 0.399), O at (0.097, 0.103, 0.922) and O at (0.245, 0.127, 0.573).

The value obtained for the calculated formation energy is -2.741 eV/atom. As for the energy above the most stable polymorph in this dataset: 0.0000 eV/atom.